The following is a DFT calculation (GGA+U) of a geometry-optimized Sr3LaTi2Mn2O12 structure.

Properties
The calculation puts the energy above the most stable polymorph in this dataset at 0.0055 eV per atom. As for the formation energy: -72.3 kcal/mol of atoms. The magnetic moment is 7.0 μB/cell. The crystal system is trigonal.

Unit cell a=9.5985 b=9.5985 c=9.5985 alpha=33.65 beta=33.65 gamma=33.65
Last column: nearest neighbours and their distance in Å.
Positions (direct):
Mn 0.1251 0.1251 0.1251  6 O 1.96-1.97
O 0.5000 0.0000 0.0000  2 Mn 1.96
Sr 0.2494 0.2494 0.2494  12 O 2.76-2.79
O 0.7456 0.2544 0.7456  1 Ti 1.96, 1 Mn 1.97
O 0.2544 0.7456 0.2544  1 Ti 1.96, 1 Mn 1.97
Ti 0.6247 0.6247 0.6247  6 O 1.96-1.97
O 0.7456 0.2544 0.2544  1 Ti 1.96, 1 Mn 1.97
O 0.2544 0.7456 0.7456  1 Ti 1.96, 1 Mn 1.97
O 0.0000 0.5000 0.0000  2 Mn 1.96
Sr 0.7506 0.7506 0.7506  12 O 2.76-2.79
Sr 0.0000 0.0000 0.0000  12 O 2.78-2.82
O 0.5000 0.5000 0.0000  2 Ti 1.97
O 0.7456 0.7456 0.2544  1 Ti 1.96, 1 Mn 1.97
O 0.0000 0.0000 0.5000  2 Mn 1.96
La 0.5000 0.5000 0.5000  12 O 2.72-2.78
O 0.2544 0.2544 0.7456  1 Ti 1.96, 1 Mn 1.97
O 0.0000 0.5000 0.5000  2 Ti 1.97
Ti 0.3753 0.3753 0.3753  6 O 1.96-1.97
Mn 0.8749 0.8749 0.8749  6 O 1.96-1.97
O 0.5000 0.0000 0.5000  2 Ti 1.97

=====

The following is a DFT calculation (GGA+U) of a geometry-optimized SrLaTiMnO6 structure.

Properties
The calculation puts the energy above the most stable polymorph in this dataset at 0.0077 eV per atom. As for the formation energy: -75.0 kcal/mol of atoms. The magnetic moment is 0.0 μB/cell. The crystal system is triclinic.

Unit cell a=5.4825 b=16.4098 c=5.5190 alpha=89.37 beta=90.04 gamma=90.62
Last column: nearest neighbours and their distance in Å.
Positions (direct):
O 0.4928 0.6333 0.5487  1 Ti 1.92
Mn 0.9996 0.7496 0.0013  4 O 1.95-1.98
O 0.0034 0.1174 0.9220  1 Ti 1.98
Sr 0.9929 0.8754 0.5023  5 O 2.50-2.77
O 0.2179 0.7633 0.7184  1 Ti 1.97, 1 Mn 1.98
O 0.7688 0.4864 0.7308  1 Mn 1.95, 1 Ti 1.98
O 0.5035 0.1334 0.5545  1 Ti 1.92
O 0.7632 0.9851 0.7318  1 Mn 1.95, 1 Ti 1.95
Ti 0.9949 0.9994 0.9972  6 O 1.93-2.02
Sr 0.4976 0.1250 0.0044  6 O 2.49-2.78
O 0.7134 0.7664 0.7907  1 Mn 1.97, 1 Ti 2.02
O 0.7787 0.2324 0.2750  1 Mn 1.95, 1 Ti 2.02
O 0.7352 0.0159 0.2356  1 Ti 1.96, 1 Mn 1.97
O 0.0056 0.8832 0.0502  1 Ti 1.93
O 0.2839 0.7394 0.2126  1 Mn 1.95, 1 Ti 1.98
Mn 0.4997 0.4999 0.5032  4 O 1.95-1.96
O 0.2251 0.5173 0.2818  1 Mn 1.96, 1 Ti 1.99
Mn 0.4985 0.0001 0.4998  4 O 1.94-1.97
La 0.4947 0.3735 0.9977  3 O 2.36-2.47
La 0.0038 0.6231 0.5028  3 O 2.37-2.46
O 0.0044 0.3831 0.0545  1 Ti 1.92
O 0.2808 0.4832 0.7778  1 Mn 1.95, 1 Ti 2.02
Ti 0.9970 0.4989 0.0056  6 O 1.92-2.02
O 0.0054 0.6175 0.9315  1 Ti 1.99, 1 Mn 2.21
O 0.2290 0.0188 0.2736  1 Mn 1.96, 1 Ti 2.02
Ti 0.4971 0.7495 0.4996  6 O 1.92-2.02
Mn 0.9986 0.2498 0.0014  4 O 1.95-1.96
O 0.7937 0.7329 0.2885  1 Mn 1.96, 1 Ti 2.02
Sr 0.5016 0.6245 0.0043  6 O 2.52-2.80
O 0.2752 0.9826 0.7695  1 Mn 1.94, 1 Ti 2.01
O 0.7253 0.2693 0.7796  1 Mn 1.96, 1 Ti 2.01
O 0.5037 0.3672 0.4254  1 Ti 1.98
O 0.7310 0.5145 0.2348  1 Ti 1.95, 1 Mn 1.96
O 0.2321 0.2659 0.7353  1 Ti 1.96, 1 Mn 1.96
O 0.2656 0.2343 0.2316  1 Mn 1.95, 1 Ti 1.97
La 0.4881 0.8732 0.9968  3 O 2.38-2.48
Ti 0.4962 0.2491 0.5021  6 O 1.92-2.02
O 0.5082 0.8675 0.4278  1 Ti 1.97
Sr 0.9970 0.3752 0.5068  6 O 2.50-2.79
La 0.9965 0.1231 0.4929  3 O 2.37-2.47

=====

The following is a DFT calculation (GGA+U) of a geometry-optimized Sr3LaTi2Mn2O12 structure.

Properties
The calculation puts the energy above the most stable polymorph in this dataset at 0.0012 eV per atom. As for the formation energy: -72.4 kcal/mol of atoms. The magnetic moment is 0.0 μB/cell. The crystal system is triclinic.

Unit cell a=5.5850 b=9.5760 c=9.5642 alpha=108.81 beta=90.50 gamma=90.65
Last column: nearest neighbours and their distance in Å.
Positions (direct):
O 0.5003 0.3751 0.1252  2 Ti 1.95
Ti 0.9991 0.7498 0.2506  6 O 1.93-1.99
La 0.4995 0.3749 0.6250  12 O 2.67-2.80
O 0.4993 0.8749 0.6249  2 Mn 1.93-1.94
O 0.7505 0.3738 0.3813  1 Mn 1.93, 1 Ti 1.98
O 0.5025 0.1237 0.3795  1 Mn 1.91, 1 Ti 1.98
O 0.7498 0.1249 0.6249  2 Mn 1.96
O 0.2500 0.1251 0.1251  2 Ti 1.95
O 0.7499 0.1251 0.1251  2 Ti 1.99-2.00
Sr 0.9997 0.3750 0.1250  12 O 2.76-2.85
Mn 0.9990 0.4993 0.5007  6 O 1.91-2.05
O 0.2356 0.8797 0.8709  1 Ti 1.92, 1 Mn 2.06
O 0.7629 0.8703 0.3791  1 Ti 1.93, 1 Mn 2.05
O 0.2506 0.3759 0.8688  1 Mn 1.93, 1 Ti 1.98
O 0.4979 0.6263 0.8705  1 Mn 1.91, 1 Ti 1.98
O 0.2639 0.3705 0.3794  1 Ti 1.93, 1 Mn 2.05
Sr 0.5003 0.8750 0.1250  12 O 2.76-2.85
O 0.2508 0.1246 0.6246  2 Mn 1.98-1.99
Sr 0.9986 0.1259 0.3783  12 O 2.74-2.81
O 0.9975 0.1263 0.8706  1 Mn 1.91, 1 Ti 1.98
O 0.7365 0.3800 0.8712  1 Ti 1.92, 1 Mn 2.05
O 0.2496 0.8742 0.3814  1 Mn 1.93, 1 Ti 1.98
Ti 0.5010 0.5001 0.9992  6 O 1.92-2.00
O 0.9996 0.8750 0.1250  2 Ti 1.95
O 0.2498 0.6251 0.1251  2 Ti 1.99-2.00
O 0.0021 0.6238 0.3795  1 Mn 1.91, 1 Ti 1.98
Mn 0.5010 0.7506 0.7493  6 O 1.91-2.06
Mn 0.0008 0.2508 0.7493  6 O 1.91-2.05
Sr 0.4987 0.6259 0.3782  12 O 2.74-2.82
Sr 0.5014 0.1241 0.8717  12 O 2.74-2.81
O 0.7496 0.8762 0.8688  1 Mn 1.93, 1 Ti 1.98
Sr 0.0013 0.6241 0.8717  12 O 2.74-2.82
O 0.2499 0.6249 0.6249  2 Mn 1.96
Ti 0.4992 0.2498 0.2506  6 O 1.93-1.99
Mn 0.4992 0.9992 0.5006  6 O 1.91-2.05
O 0.7500 0.6251 0.1251  2 Ti 1.95
La 0.0005 0.8751 0.6250  12 O 2.67-2.80
O 0.7506 0.6247 0.6247  2 Mn 1.98-1.99
O 0.0008 0.3750 0.6250  2 Mn 1.93
Ti 0.0008 0.0001 0.9992  6 O 1.92-2.00

=====

The following is a DFT calculation (GGA+U) of a geometry-optimized Sr3La7Ti2Mn8O30 structure.

Properties
As for the formation energy: -70.5 kcal/mol of atoms. The magnetic moment is 31.0 μB/cell. The crystal system is triclinic.

Unit cell a=5.5661 b=9.6831 c=12.4684 alpha=75.37 beta=77.75 gamma=73.65
Last column: nearest neighbours and their distance in Å.
Positions (direct):
La 0.6001 0.4504 0.3496  3 O 2.45-2.47
O 0.6659 0.1407 0.9783  2 Mn 2.01-2.02
La 0.0008 0.7504 0.2504  6 O 2.48-2.76
Ti 0.6016 0.2016 0.5997  6 O 1.93-2.02
Mn 0.5990 0.7002 0.0997  6 O 1.99-2.02
Mn 0.4011 0.3003 0.8995  6 O 1.97-2.03
O 0.8567 0.8229 0.0408  2 Mn 1.99-2.02
O 0.5366 0.2634 0.2246  2 Mn 2.00-2.02
La 0.4004 0.0504 0.1495  3 O 2.44-2.48
O 0.1277 0.4570 0.8333  2 Mn 1.97-2.00
O 0.2907 0.3871 0.0364  2 Mn 2.00-2.03
O 0.7334 0.6629 0.4265  2 Mn 2.00-2.03
Mn 0.0024 0.4987 0.4996  6 O 1.97-2.06
O 0.5652 0.9700 0.3572  2 Mn 1.96-2.00
Sr 0.6002 0.9499 0.8516  7 O 2.53-2.83
Ti 0.1995 0.8985 0.7006  6 O 1.94-2.02
O 0.6512 0.4250 0.8422  2 Mn 2.00
O 0.1504 0.1727 0.9640  2 Mn 1.99-2.03
Mn 0.0012 0.9987 0.0003  6 O 1.98-2.06
Sr 0.3982 0.5497 0.6510  7 O 2.55-2.83
O 0.4887 0.7851 0.2396  2 Mn 1.99-2.02
O 0.3273 0.8603 0.0330  2 Mn 1.98-1.99
O 0.2443 0.6267 0.4347  2 Mn 1.99-2.02
O 0.3509 0.5731 0.1617  2 Mn 1.99-2.01
O 0.0922 0.9902 0.8327  1 Ti 1.97, 1 Mn 2.06
O 0.9644 0.7736 0.7583  1 Ti 1.94, 1 Mn 2.03
O 0.7571 0.3662 0.5605  1 Ti 1.93, 1 Mn 2.03
O 0.0593 0.9333 0.3717  2 Mn 2.00-2.01
La 0.8019 0.3491 0.0484  5 O 2.44-2.73
O 0.2681 0.3309 0.5772  1 Ti 1.96, 1 Mn 2.06
O 0.4535 0.7432 0.7750  1 Ti 1.94, 1 Mn 2.07
O 0.1067 0.4236 0.3597  2 Mn 1.97-1.99
Mn 0.1991 0.3998 0.2007  6 O 1.99-2.03
O 0.9099 0.0154 0.1616  2 Mn 2.00
Mn 0.8014 0.6002 0.7993  6 O 2.00-2.07
O 0.7121 0.6138 0.9611  2 Mn 2.00-2.01
O 0.8866 0.5871 0.6377  2 Mn 2.00-2.02
O 0.5118 0.2200 0.7582  1 Ti 1.97, 1 Mn 2.01
Sr 0.2002 0.1498 0.4490  7 O 2.55-2.82
La 0.2016 0.6492 0.9499  3 O 2.44-2.45
La 0.7996 0.8469 0.5477  3 O 2.44-2.48
O 0.8617 0.5358 0.1743  2 Mn 2.00-2.01
Mn 0.7993 0.0996 0.3002  6 O 1.96-2.05
O 0.6834 0.1893 0.4403  1 Ti 1.97, 1 Mn 2.05
Mn 0.3999 0.8010 0.3999  6 O 1.99-2.02
O 0.0477 0.2251 0.2326  2 Mn 2.01
La 0.0024 0.2525 0.7515  3 O 2.43-2.46
O 0.4518 0.0247 0.6372  2 Ti 2.02
O 0.9276 0.0599 0.6310  2 Ti 1.99-2.01
O 0.3071 0.8240 0.5610  1 Ti 1.96, 1 Mn 2.02

=====

The following is a DFT calculation (GGA+U) of a geometry-optimized SrLaTiMnO6 structure.

Properties
The calculation puts the energy above the most stable polymorph in this dataset at 0.0333 eV per atom. As for the formation energy: -74.4 kcal/mol of atoms. The magnetic moment is 4.0 μB/cell. The crystal system is trigonal.

Unit cell a=5.5767 b=5.5767 c=5.5767 alpha=60.43 beta=60.43 gamma=60.43
Last column: nearest neighbours and their distance in Å.
Positions (direct):
O 0.7539 0.2895 0.2024  1 Ti 1.95, 1 Mn 2.03
La 0.2506 0.2506 0.2506  3 O 2.46
O 0.2024 0.7539 0.2895  1 Ti 1.95, 1 Mn 2.03
Mn 0.5004 0.5004 0.5004  6 O 2.03
O 0.8152 0.2448 0.6919  1 Ti 1.99, 1 Mn 2.03
O 0.2895 0.2024 0.7539  1 Ti 1.95, 1 Mn 2.03
O 0.6919 0.8152 0.2448  1 Ti 1.99, 1 Mn 2.03
Sr 0.7502 0.7502 0.7502  9 O 2.56-2.82
O 0.2448 0.6919 0.8152  1 Ti 1.99, 1 Mn 2.03
Ti 0.0011 0.0011 0.0011  6 O 1.95-1.99